[1]
The following is a r²SCAN calculation of an optimized crystal structure of Rb2ThF6, from Materials Project.

Cell lengths 6.8396, 6.8396, 3.8352 Å; angles 90.00, 90.00, 120.00 degrees
With the nearest neighbours (Å) after each atom.
Fractional positions:
F (0.2204, 0.0000, 0.5000)  2 Th 2.44, 2 F 2.61
F (0.3352, 0.3352, 0.0000)  1 Th 2.29
Rb (0.6667, 0.3333, 0.5000)  9 F 2.75-2.97
F (0.0000, 0.2204, 0.5000)  2 Th 2.44, 2 F 2.61
Th (0.0000, 0.0000, 0.0000)  9 F 2.29-2.44
F (0.6648, 0.0000, 0.0000)  1 Th 2.29
F (0.7796, 0.7796, 0.5000)  2 Th 2.44, 2 F 2.61
Rb (0.3333, 0.6667, 0.5000)  9 F 2.75-2.97
F (0.0000, 0.6648, 0.0000)  1 Th 2.29

- formation energy from the elements (meV per atom) = -3861

***

[2]
The following is a r²SCAN calculation of an optimized crystal structure of KPbO2, from Materials Project.

Cell lengths 7.0025, 7.5084, 12.7460 Å; angles 105.50, 90.80, 117.37 degrees
With the nearest neighbours (Å) after each atom.
Fractional positions:
O (0.1460, 0.0573, 0.6553)  2 Pb 2.22-2.23
O (0.6653, 0.0748, 0.6422)  3 Pb 2.24-2.37
O (0.0755, 0.4382, 0.6442)  2 Pb 2.14-2.22
O (0.6475, 0.5575, 0.1549)  2 Pb 2.22-2.23
O (0.6106, 0.4416, 0.6382)  2 Pb 2.17-2.24
Pb (0.5140, 0.7534, 0.2540)  6 O 2.14-2.37
K (0.4856, 0.7403, 0.7346)  6 O 2.69-2.83
O (0.8540, 0.9428, 0.3447)  2 Pb 2.22-2.23
Pb (0.2378, 0.7271, 0.4711)  3 O 2.22-2.24
O (0.1665, 0.5749, 0.1419)  3 Pb 2.24-2.37
K (0.2355, 0.2359, 0.4882)  6 O 2.74-3.06
O (0.3347, 0.9253, 0.3578)  3 Pb 2.24-2.37
O (0.8880, 0.0583, 0.8623)  2 Pb 2.17-2.24
O (0.4234, 0.0618, 0.8564)  2 Pb 2.14-2.23
K (0.2638, 0.2639, 0.0121)  6 O 2.74-3.05
Pb (0.0123, 0.2530, 0.7544)  6 O 2.14-2.37
Pb (0.9877, 0.7470, 0.2456)  6 O 2.14-2.37
Pb (0.7622, 0.2729, 0.5289)  3 O 2.22-2.24
K (0.7645, 0.7641, 0.5118)  6 O 2.74-3.06
K (0.5144, 0.2597, 0.2654)  6 O 2.69-2.83
Pb (0.7369, 0.2275, 0.9718)  3 O 2.23-2.24
O (0.3894, 0.5584, 0.3618)  2 Pb 2.17-2.24
O (0.5766, 0.9382, 0.1436)  2 Pb 2.14-2.23
Pb (0.2631, 0.7724, 0.0282)  3 O 2.23-2.24
K (0.9869, 0.2404, 0.2344)  6 O 2.69-2.83
O (0.9245, 0.5618, 0.3558)  2 Pb 2.14-2.22
K (0.0131, 0.7596, 0.7656)  6 O 2.69-2.83
K (0.7362, 0.7361, 0.9879)  6 O 2.74-3.05
Pb (0.4860, 0.2466, 0.7460)  6 O 2.14-2.37
O (0.3525, 0.4425, 0.8451)  2 Pb 2.22-2.23
O (0.1120, 0.9417, 0.1377)  2 Pb 2.17-2.24
O (0.8335, 0.4251, 0.8581)  3 Pb 2.24-2.37

- formation energy from the elements (meV per atom) = -1377

***

Repeat the second record exactly.
The following is a r²SCAN calculation of an optimized crystal structure of KPbO2, from Materials Project.

Cell lengths 7.0025, 7.5084, 12.7460 Å; angles 105.50, 90.80, 117.37 degrees
With the nearest neighbours (Å) after each atom.
Fractional positions:
O (0.1460, 0.0573, 0.6553)  2 Pb 2.22-2.23
O (0.6653, 0.0748, 0.6422)  3 Pb 2.24-2.37
O (0.0755, 0.4382, 0.6442)  2 Pb 2.14-2.22
O (0.6475, 0.5575, 0.1549)  2 Pb 2.22-2.23
O (0.6106, 0.4416, 0.6382)  2 Pb 2.17-2.24
Pb (0.5140, 0.7534, 0.2540)  6 O 2.14-2.37
K (0.4856, 0.7403, 0.7346)  6 O 2.69-2.83
O (0.8540, 0.9428, 0.3447)  2 Pb 2.22-2.23
Pb (0.2378, 0.7271, 0.4711)  3 O 2.22-2.24
O (0.1665, 0.5749, 0.1419)  3 Pb 2.24-2.37
K (0.2355, 0.2359, 0.4882)  6 O 2.74-3.06
O (0.3347, 0.9253, 0.3578)  3 Pb 2.24-2.37
O (0.8880, 0.0583, 0.8623)  2 Pb 2.17-2.24
O (0.4234, 0.0618, 0.8564)  2 Pb 2.14-2.23
K (0.2638, 0.2639, 0.0121)  6 O 2.74-3.05
Pb (0.0123, 0.2530, 0.7544)  6 O 2.14-2.37
Pb (0.9877, 0.7470, 0.2456)  6 O 2.14-2.37
Pb (0.7622, 0.2729, 0.5289)  3 O 2.22-2.24
K (0.7645, 0.7641, 0.5118)  6 O 2.74-3.06
K (0.5144, 0.2597, 0.2654)  6 O 2.69-2.83
Pb (0.7369, 0.2275, 0.9718)  3 O 2.23-2.24
O (0.3894, 0.5584, 0.3618)  2 Pb 2.17-2.24
O (0.5766, 0.9382, 0.1436)  2 Pb 2.14-2.23
Pb (0.2631, 0.7724, 0.0282)  3 O 2.23-2.24
K (0.9869, 0.2404, 0.2344)  6 O 2.69-2.83
O (0.9245, 0.5618, 0.3558)  2 Pb 2.14-2.22
K (0.0131, 0.7596, 0.7656)  6 O 2.69-2.83
K (0.7362, 0.7361, 0.9879)  6 O 2.74-3.05
Pb (0.4860, 0.2466, 0.7460)  6 O 2.14-2.37
O (0.3525, 0.4425, 0.8451)  2 Pb 2.22-2.23
O (0.1120, 0.9417, 0.1377)  2 Pb 2.17-2.24
O (0.8335, 0.4251, 0.8581)  3 Pb 2.24-2.37

- formation energy from the elements (meV per atom) = -1377